1.
## TaNbC2 (meta-GGA r2SCAN)

Data for TaNbC2 after structural relaxation.

## Properties
Final energy: -95.66 eV/cell
Calculated volume: 45 Å³ per cell
Energy of formation from the pure elements: -0.609 eV/atom

Cell and atoms, written as extended XYZ:
```
4
Lattice="1.5856 0.9154 5.1898 -1.5856 0.9154 5.1898 0.0000 -1.8309 5.1898" Properties=species:S:1:pos:R:3 pbc="T T T"
Ta 0.0000 0.0000 0.0000
Nb 0.0000 0.0000 7.7847
C 0.0000 0.0000 3.9288
C 0.0000 0.0000 11.6406
```

---

2.
## UNbC2 (meta-GGA r2SCAN)

Data for UNbC2 after structural relaxation.

## Properties
Final energy: -126.61 eV/cell
Calculated volume: 52 Å³ per cell
Energy of formation from the pure elements: -0.509 eV/atom

Cell and atoms, written as extended XYZ:
```
4
Lattice="1.6380 0.9457 5.5866 -1.6380 0.9457 5.5866 0.0000 -1.8914 5.5866" Properties=species:S:1:pos:R:3 pbc="T T T"
U 0.0000 0.0000 0.0000
Nb 0.0000 0.0000 8.3799
C 0.0000 0.0000 4.0864
C 0.0000 0.0000 12.6733
```

---

3.
## Nd2C3 (meta-GGA r2SCAN)

Data for Nd2C3 after structural relaxation.

## Properties
Final energy: -361.06 eV/cell
Calculated volume: 319 Å³ per cell
Energy of formation from the pure elements: -0.318 eV/atom

Cell and atoms, written as extended XYZ:
```
20
Lattice="-4.3042 4.3042 4.3042 4.3042 -4.3042 4.3042 4.3042 4.3042 -4.3042" Properties=species:S:1:pos:R:3 pbc="T T T"
Nd 2.5952 1.7090 -1.7090
Nd 4.7472 -0.4431 0.4431
Nd 1.7090 -1.7090 2.5952
Nd 1.7090 1.7090 1.7090
Nd -1.7090 2.5952 1.7090
Nd 0.4431 4.7472 -0.4431
Nd -0.4431 0.4431 4.7472
Nd 3.8611 3.8611 3.8611
C 4.3042 -2.1521 2.5668
C 4.3042 -2.1521 3.8894
C 2.5668 4.3042 -2.1521
C 3.8894 4.3042 -2.1521
C 4.3042 2.1521 0.4147
C 4.3042 2.1521 1.7374
C 2.1521 0.4147 4.3042
C 2.1521 1.7374 4.3042
C 0.4147 4.3042 2.1521
C 1.7374 4.3042 2.1521
C -2.1521 2.5668 4.3042
C -2.1521 3.8894 4.3042
```

---

4.
## NdC2 (meta-GGA r2SCAN)

Data for NdC2 after structural relaxation.

## Properties
Final energy: -50.20 eV/cell
Calculated volume: 48 Å³ per cell
Energy of formation from the pure elements: -0.295 eV/atom

Cell and atoms, written as extended XYZ:
```
3
Lattice="-1.9207 1.9207 3.2276 1.9207 -1.9207 3.2276 1.9207 1.9207 -3.2276" Properties=species:S:1:pos:R:3 pbc="T T T"
Nd 0.0000 0.0000 0.0000
C 0.0000 0.0000 2.5827
C 0.0000 0.0000 3.8724
```

---

5.
## NdNiC2 (meta-GGA r2SCAN)

Data for NdNiC2 after structural relaxation.

## Properties
Final energy: -62.74 eV/cell
Calculated volume: 53 Å³ per cell
Energy of formation from the pure elements: -0.363 eV/atom

Cell and atoms, written as extended XYZ:
```
4
Lattice="3.8473 0.0000 0.0000 0.0000 2.2557 3.0436 0.0000 -2.2557 3.0436" Properties=species:S:1:pos:R:3 pbc="T T T"
Nd 0.0000 0.0000 0.0000
Ni 1.9237 0.0000 3.7215
C 1.9237 -0.6799 1.8355
C 1.9237 0.6799 1.8355
```

---

6.
## Nd12Os5C15 (meta-GGA r2SCAN)

Data for Nd12Os5C15 after structural relaxation.

## Properties
Final energy: -779.64 eV/cell
Calculated volume: 556 Å³ per cell
Energy of formation from the pure elements: -0.390 eV/atom

Cell and atoms, written as extended XYZ:
```
32
Lattice="10.9636 0.0000 0.0000 -5.4818 9.4947 0.0000 0.0000 0.0000 5.3381" Properties=species:S:1:pos:R:3 pbc="T T T"
Nd -2.3476 4.0662 0.0000
Nd -4.3497 7.5339 0.0000
Nd -1.9595 6.9013 2.6691
Nd 1.1321 1.9608 0.0000
Nd 0.4849 4.3471 2.6691
Nd 4.6952 0.0000 0.0000
Nd 3.5222 2.5934 2.6691
Nd 1.4747 7.7411 2.6691
Nd 3.1342 5.4285 0.0000
Nd 6.9565 1.7536 2.6691
Nd 8.6994 0.0000 0.0000
Nd 5.9667 5.1477 2.6691
Os -0.8813 1.5265 2.6691
Os 1.7626 0.0000 2.6691
Os 0.0000 6.3298 0.0000
Os 5.4818 3.1649 0.0000
Os 4.6005 7.9682 2.6691
C -1.8169 3.1469 2.6691
C -2.4817 4.2984 2.6691
C -4.3879 7.6000 2.6691
C -1.8568 6.7640 0.0000
C 1.0939 1.8947 2.6691
C 0.5524 4.5047 0.0000
C 3.6338 0.0000 2.6691
C 4.9634 0.0000 2.6691
C 3.6250 2.7308 0.0000
C 1.3044 7.7208 0.0000
C 3.0001 5.1963 2.6691
C 3.6649 6.3478 2.6691
C 6.7862 1.7739 0.0000
C 8.7757 0.0000 2.6691
C 6.0342 4.9900 0.0000
```

---

7.
## Nd12Re5C15 (meta-GGA r2SCAN)

Data for Nd12Re5C15 after structural relaxation.

## Properties
Final energy: -777.28 eV/cell
Calculated volume: 561 Å³ per cell
Energy of formation from the pure elements: -0.406 eV/atom

Cell and atoms, written as extended XYZ:
```
32
Lattice="11.0067 0.0000 0.0000 -5.5033 9.5321 0.0000 0.0000 0.0000 5.3499" Properties=species:S:1:pos:R:3 pbc="T T T"
Nd -2.3249 4.0269 0.0000
Nd -4.3718 7.5722 0.0000
Nd -1.9584 6.9540 2.6750
Nd 1.1315 1.9598 0.0000
Nd 0.4602 4.3590 2.6750
Nd 4.6499 0.0000 0.0000
Nd 3.5449 2.5780 2.6750
Nd 1.4982 7.7511 2.6750
Nd 3.1784 5.5052 0.0000
Nd 7.0016 1.7810 2.6750
Nd 8.7436 0.0000 0.0000
Nd 5.9635 5.1731 2.6750
Re -0.8412 1.4569 2.6750
Re 1.6823 0.0000 2.6750
Re 0.0000 6.3547 0.0000
Re 5.5033 3.1773 0.0000
Re 4.6622 8.0751 2.6750
C -1.8049 3.1261 2.6750
C -2.4805 4.2963 2.6750
C -4.3653 7.5609 2.6750
C -1.8440 6.8109 0.0000
C 1.1380 1.9711 2.6750
C 0.5269 4.5296 0.0000
C 3.6097 0.0000 2.6750
C 4.9610 0.0000 2.6750
C 3.6593 2.7211 0.0000
C 1.3171 7.7236 0.0000
C 3.0229 5.2357 2.6750
C 3.6985 6.4060 2.6750
C 6.8205 1.8085 0.0000
C 8.7306 0.0000 2.6750
C 6.0302 5.0025 0.0000
```

---

8.
## Nd2ReC2 (meta-GGA r2SCAN)

Data for Nd2ReC2 after structural relaxation.

## Properties
Final energy: -532.65 eV/cell
Calculated volume: 367 Å³ per cell
Energy of formation from the pure elements: -0.404 eV/atom

Cell and atoms, written as extended XYZ:
```
20
Lattice="6.7021 0.0000 0.0000 0.0000 5.3613 0.0000 0.0000 0.0000 10.2154" Properties=species:S:1:pos:R:3 pbc="T T T"
Nd 0.1789 1.3403 2.1754
Nd 1.2632 1.3403 5.6261
Nd 2.0878 4.0210 0.5184
Nd 3.1722 4.0210 7.2832
Nd 3.5299 1.3403 2.9323
Nd 4.6143 1.3403 9.6970
Nd 5.4388 4.0210 4.5893
Nd 6.5232 4.0210 8.0400
Re 1.5441 1.3403 8.7568
Re 1.8070 4.0210 3.6491
Re 4.8951 1.3403 6.5663
Re 5.1580 4.0210 1.4586
C 0.2274 4.0210 2.4718
C 1.2627 4.0210 5.4755
C 2.0883 1.3403 0.3678
C 3.1236 1.3403 7.5795
C 3.5785 4.0210 2.6359
C 4.6138 4.0210 9.8477
C 5.4393 1.3403 4.7399
C 6.4746 1.3403 7.7436
```

---

9.
## Nd2WC2 (meta-GGA r2SCAN)

Data for Nd2WC2 after structural relaxation.

## Properties
Final energy: -526.43 eV/cell
Calculated volume: 352 Å³ per cell
Energy of formation from the pure elements: -0.302 eV/atom

Cell and atoms, written as extended XYZ:
```
20
Lattice="5.8163 0.0000 0.0000 0.0000 5.8163 0.0000 0.0000 0.0000 10.3937" Properties=species:S:1:pos:R:3 pbc="T T T"
Nd 1.1426 1.1426 1.6299
Nd 1.1426 1.1426 8.7638
Nd 1.7656 4.0507 3.5669
Nd 1.7656 4.0507 6.8267
Nd 4.0507 1.7656 3.5669
Nd 4.0507 1.7656 6.8267
Nd 4.6738 4.6738 1.6299
Nd 4.6738 4.6738 8.7638
W 1.0327 1.0327 5.1968
W 1.8755 3.9409 0.0000
W 3.9409 1.8755 0.0000
W 4.7836 4.7836 5.1968
C 0.0000 0.0000 3.7265
C 0.0000 0.0000 6.6671
C 0.0000 2.9082 0.0000
C 0.0000 2.9082 5.1968
C 2.9082 0.0000 0.0000
C 2.9082 0.0000 5.1968
C 2.9082 2.9082 1.4703
C 2.9082 2.9082 8.9234
```

---

10.
## NiCO3 (meta-GGA r2SCAN)

Data for NiCO3 after structural relaxation.

## Properties
Final energy: -93.64 eV/cell
Calculated volume: 89 Å³ per cell
Energy of formation from the pure elements: -1.394 eV/atom

Cell and atoms, written as extended XYZ:
```
10
Lattice="2.2974 1.3264 4.8648 -2.2974 1.3264 4.8648 0.0000 -2.6528 4.8648" Properties=species:S:1:pos:R:3 pbc="T T T"
Ni 0.0000 0.0000 0.0000
Ni 0.0000 0.0000 7.2972
C 0.0000 0.0000 3.6486
C 0.0000 0.0000 10.9458
O -1.6529 -0.2102 6.0810
O -0.6445 -1.5366 8.5134
O 1.0085 -1.3264 6.0810
O -1.0085 1.3264 8.5134
O 0.6445 1.5366 6.0810
O 1.6529 0.2102 8.5134
```

---

11.
## PrNiC2 (meta-GGA r2SCAN)

Data for PrNiC2 after structural relaxation.

## Properties
Final energy: -62.62 eV/cell
Calculated volume: 54 Å³ per cell
Energy of formation from the pure elements: -0.334 eV/atom

Cell and atoms, written as extended XYZ:
```
4
Lattice="3.9094 0.0000 0.0000 0.0000 2.2591 3.0548 0.0000 -2.2591 3.0548" Properties=species:S:1:pos:R:3 pbc="T T T"
Pr 0.0000 0.0000 0.0000
Ni 1.9547 0.0000 3.7358
C 1.9547 -0.6790 1.8446
C 1.9547 0.6790 1.8446
```

---

12.
## Th2NiC2 (meta-GGA r2SCAN)

Data for Th2NiC2 after structural relaxation.

## Properties
Final energy: -181.18 eV/cell
Calculated volume: 87 Å³ per cell
Energy of formation from the pure elements: -0.471 eV/atom

Cell and atoms, written as extended XYZ:
```
5
Lattice="-1.8875 1.8875 6.1251 1.8875 -1.8875 6.1251 1.8875 1.8875 -6.1251" Properties=species:S:1:pos:R:3 pbc="T T T"
Th 0.0000 0.0000 1.7818
Th 0.0000 0.0000 10.4684
Ni 0.0000 0.0000 6.1251
C 0.0000 0.0000 4.2166
C 0.0000 0.0000 8.0336
```